K2Li3CrO4 | PBE with a Hubbard U | optimized geometry

Unit cell a=5.585 b=8.976 c=11.062 alpha=90.00 beta=109.78 gamma=90.00
Atoms (fractional coordinates):
1 K 0.205 0.007 0.362
2 K 0.205 0.493 0.862
3 K 0.216 0.227 0.608
4 K 0.216 0.273 0.108
5 K 0.784 0.727 0.892
6 K 0.784 0.773 0.392
7 K 0.795 0.507 0.138
8 K 0.795 0.993 0.638
9 Li 0.117 0.734 0.699
10 Li 0.117 0.766 0.199
11 Li 0.122 0.003 0.928
12 Li 0.122 0.497 0.428
13 Li 0.397 0.537 0.294
14 Li 0.397 0.963 0.794
15 Li 0.603 0.037 0.206
16 Li 0.603 0.463 0.706
17 Li 0.878 0.503 0.572
18 Li 0.878 0.997 0.072
19 Li 0.883 0.234 0.801
20 Li 0.883 0.266 0.301
21 Cr 0.406 0.709 0.563
22 Cr 0.406 0.791 0.063
23 Cr 0.594 0.209 0.937
24 Cr 0.594 0.291 0.437
25 O 0.245 0.162 0.848
26 O 0.245 0.338 0.348
27 O 0.251 0.698 0.377
28 O 0.251 0.802 0.877
29 O 0.253 0.544 0.624
30 O 0.253 0.956 0.124
31 O 0.271 0.610 0.107
32 O 0.271 0.890 0.607
33 O 0.729 0.110 0.393
34 O 0.729 0.390 0.893
35 O 0.747 0.044 0.876
36 O 0.747 0.456 0.376
37 O 0.749 0.198 0.123
38 O 0.749 0.302 0.623
39 O 0.755 0.662 0.652
40 O 0.755 0.838 0.152

Results
SG: No. 14

---

Li3FeB2O6 | PBE with a Hubbard U | optimized geometry

Unit cell a=8.178 b=6.376 c=9.827 alpha=90.00 beta=116.82 gamma=90.00
Atoms (fractional coordinates):
1 Li 0.076 0.247 0.482
2 Li 0.076 0.253 0.982
3 Li 0.230 0.550 0.678
4 Li 0.230 0.950 0.178
5 Li 0.337 0.723 0.034
6 Li 0.337 0.777 0.534
7 Li 0.663 0.223 0.466
8 Li 0.663 0.277 0.966
9 Li 0.770 0.050 0.822
10 Li 0.770 0.450 0.322
11 Li 0.924 0.747 0.018
12 Li 0.924 0.753 0.518
13 Fe 0.317 0.042 0.820
14 Fe 0.317 0.458 0.320
15 Fe 0.683 0.542 0.680
16 Fe 0.683 0.958 0.180
17 B 0.038 0.658 0.313
18 B 0.038 0.842 0.813
19 B 0.426 0.167 0.616
20 B 0.426 0.333 0.116
21 B 0.574 0.667 0.884
22 B 0.574 0.833 0.384
23 B 0.962 0.158 0.187
24 B 0.962 0.342 0.687
25 O 0.123 0.694 0.221
26 O 0.123 0.806 0.721
27 O 0.137 0.219 0.217
28 O 0.137 0.281 0.717
29 O 0.148 0.547 0.446
30 O 0.148 0.953 0.946
31 O 0.271 0.052 0.548
32 O 0.271 0.448 0.048
33 O 0.478 0.648 0.726
34 O 0.478 0.852 0.226
35 O 0.491 0.195 0.040
36 O 0.491 0.305 0.540
37 O 0.509 0.695 0.460
38 O 0.509 0.805 0.960
39 O 0.522 0.148 0.774
40 O 0.522 0.352 0.274
41 O 0.729 0.552 0.952
42 O 0.729 0.948 0.452
43 O 0.852 0.047 0.054
44 O 0.852 0.453 0.554
45 O 0.863 0.719 0.283
46 O 0.863 0.781 0.783
47 O 0.877 0.194 0.279
48 O 0.877 0.306 0.779

Results
SG: No. 14
Energy above the most stable polymorph in this dataset in eV per atom: 0.068

---

LiPrMo2O8 | PBE with a Hubbard U | optimized geometry

Unit cell a=5.118 b=6.009 c=11.203 alpha=90.00 beta=112.03 gamma=90.00
Atoms (fractional coordinates):
1 Li 0.000 0.216 0.250
2 Li 0.000 0.784 0.750
3 Pr 0.500 0.215 0.750
4 Pr 0.500 0.785 0.250
5 Mo 0.264 0.319 0.023
6 Mo 0.264 0.681 0.523
7 Mo 0.736 0.319 0.477
8 Mo 0.736 0.681 0.977
9 O 0.137 0.399 0.592
10 O 0.137 0.601 0.092
11 O 0.220 0.131 0.138
12 O 0.220 0.869 0.638
13 O 0.277 0.136 0.898
14 O 0.277 0.864 0.398
15 O 0.368 0.413 0.387
16 O 0.368 0.587 0.887
17 O 0.632 0.413 0.113
18 O 0.632 0.587 0.613
19 O 0.723 0.136 0.602
20 O 0.723 0.864 0.102
21 O 0.780 0.131 0.362
22 O 0.780 0.869 0.862
23 O 0.863 0.399 0.908
24 O 0.863 0.601 0.408

Results
SG: No. 13

---

MnHC3O4 | PBE with a Hubbard U | optimized geometry

Unit cell a=9.299 b=9.299 c=14.095 alpha=90.00 beta=90.00 gamma=120.00
Atoms (fractional coordinates):
1 Mn 0.151 0.702 0.298
2 Mn 0.298 0.449 0.298
3 Mn 0.333 0.667 0.110
4 Mn 0.449 0.151 0.702
5 Mn 0.551 0.849 0.298
6 Mn 0.667 0.333 0.890
7 Mn 0.702 0.551 0.702
8 Mn 0.849 0.298 0.702
9 H 0.058 0.425 0.189
10 H 0.333 0.667 0.434
11 H 0.367 0.942 0.189
12 H 0.425 0.367 0.811
13 H 0.575 0.633 0.189
14 H 0.633 0.058 0.811
15 H 0.667 0.333 0.566
16 H 0.942 0.575 0.811
17 C 0.001 0.274 0.771
18 C 0.019 0.434 0.623
19 C 0.118 0.303 0.369
20 C 0.184 0.882 0.369
21 C 0.186 0.688 0.033
22 C 0.272 0.999 0.771
23 C 0.274 0.272 0.229
24 C 0.303 0.184 0.631
25 C 0.312 0.499 0.033
26 C 0.414 0.981 0.623
27 C 0.434 0.414 0.377
28 C 0.499 0.186 0.967
29 C 0.501 0.814 0.033
30 C 0.566 0.586 0.623
31 C 0.586 0.019 0.377
32 C 0.688 0.501 0.967
33 C 0.697 0.816 0.369
34 C 0.726 0.728 0.771
35 C 0.728 0.001 0.229
36 C 0.814 0.312 0.967
37 C 0.816 0.118 0.631
38 C 0.882 0.697 0.631
39 C 0.981 0.566 0.377
40 C 0.999 0.726 0.229
41 O 0.003 0.206 0.411
42 O 0.095 0.697 0.980
43 O 0.106 0.260 0.808
44 O 0.130 0.514 0.572
45 O 0.154 0.894 0.808
46 O 0.160 0.519 0.213
47 O 0.203 0.997 0.411
48 O 0.206 0.203 0.589
49 O 0.260 0.154 0.192
50 O 0.303 0.398 0.980
51 O 0.333 0.667 0.364
52 O 0.359 0.840 0.213
53 O 0.384 0.870 0.572
54 O 0.398 0.095 0.020
55 O 0.481 0.641 0.213
56 O 0.486 0.616 0.572
57 O 0.514 0.384 0.428
58 O 0.519 0.359 0.787
59 O 0.602 0.905 0.980
60 O 0.616 0.130 0.428
61 O 0.641 0.160 0.787
62 O 0.667 0.333 0.636
63 O 0.697 0.602 0.020
64 O 0.740 0.846 0.808
65 O 0.794 0.797 0.411
66 O 0.797 0.003 0.589
67 O 0.840 0.481 0.787
68 O 0.846 0.106 0.192
69 O 0.870 0.486 0.428
70 O 0.894 0.740 0.192
71 O 0.905 0.303 0.020
72 O 0.997 0.794 0.589

Results
SG: No. 147

---

| no. | total magnetic moment (μB/f.u.) | energy of formation (eV per atom) | corrected total energy (MP2020 scheme) (eV/cell) |
| --- | --- | --- | --- |
| 1 | 3.00 | -1.92 | -226.4 |
| 2 | 5.00 | -2.40 | -344.4 |
| 3 | 0.00 | -2.48 | -195.4 |
| 4 | 0.00 | -0.89 | -544.0 |